Material: Y6Al2SiS14
Method: DFT, PBE
State: relaxed

Results
formation enthalpy at 0 K	-1.978	eV/atom
electronic total energy	-6.4382	eV per atom
density	3.62	g cm⁻³
symmetry	P3

Cell lengths 9.712, 9.712, 5.970 Å; angles 90.00, 90.00, 120.00 degrees
Positions (direct):
1 Y 0.811 0.701 0.516
2 Y 0.890 0.189 0.516
3 Y 0.299 0.110 0.516
4 Y 0.516 0.964 0.028
5 Y 0.449 0.484 0.028
6 Y 0.036 0.551 0.028
7 Al 0.667 0.333 0.339
8 Al 0.333 0.667 0.442
9 Si 0.000 0.000 0.939
10 S 0.000 0.000 0.297
11 S 0.333 0.667 0.816
12 S 0.089 0.858 0.794
13 S 0.769 0.911 0.794
14 S 0.142 0.231 0.794
15 S 0.236 0.812 0.287
16 S 0.576 0.764 0.287
17 S 0.188 0.424 0.287
18 S 0.910 0.479 0.572
19 S 0.569 0.090 0.572
20 S 0.521 0.431 0.572
21 S 0.431 0.198 0.106
22 S 0.767 0.569 0.106
23 S 0.802 0.233 0.106